Entry A
This record from the Materials Project describes a geometry-optimized Hf2P2O9 structure. The functional is PBE.

Computed properties:
Crystal system: monoclinic

a = 13.8067 Å, b = 6.6230 Å, c = 10.1602 Å
α = 90.00°, β = 131.79°, γ = 90.00°
Last column: nearest neighbours and their distance in Å.
Space group C2/m (No. 12)
One atom of each set of equivalent atoms:
Hf (0.0568, 0.0000, 0.4033) [4 per cell]  6 O 2.01-2.15
Hf (0.1845, 0.5000, 0.1357) [4 per cell]  5 O 2.05-2.25
P (0.0928, 0.5000, 0.3362) [4 per cell]  4 O 1.52-1.57
P (0.1705, 0.0000, 0.0417) [4 per cell]  4 O 1.54-1.55
O (0.0161, 0.5000, 0.1332) [4 per cell]  1 P 1.57
O (0.0333, 0.0000, 0.8552) [4 per cell]  1 P 1.55
O (0.0697, 0.3104, 0.3965) [8 per cell]  1 P 1.52
O (0.1142, 0.0000, 0.6559) [4 per cell]  3 Hf 2.01-2.12
O (0.1855, 0.1904, 0.1411) [8 per cell]  1 P 1.54
O (0.2262, 0.5000, 0.9760) [4 per cell]  1 P 1.55
O (0.2339, 0.5000, 0.4043) [4 per cell]  1 P 1.57

Entry B
This record from the Materials Project describes a geometry-optimized Hf2P2O9 structure. The functional is PBE.

Computed properties:
Crystal system: orthorhombic

a = 6.6633 Å, b = 8.7219 Å, c = 11.8942 Å
α = 90.00°, β = 90.00°, γ = 90.00°
Last column: nearest neighbours and their distance in Å.
Space group Cmce (No. 64)
One atom of each set of equivalent atoms:
Hf (0.0000, 0.2059, 0.0616) [8 per cell]  3 O 1.94-2.13
P (0.0000, 0.1059, 0.3529) [8 per cell]  4 O 1.51-1.58
O (0.0000, 0.0000, 0.0000) [4 per cell]  2 Hf 1.94
O (0.0000, 0.0651, 0.6247) [8 per cell]  1 P 1.51
O (0.0000, 0.1412, 0.2282) [8 per cell]  1 P 1.51
O (0.1759, 0.1899, 0.4168) [16 per cell]  1 P 1.58

Short version: entry B is the least stable of them.

Entry A
This record from the Materials Project describes a geometry-optimized Sr3Hf2O7 structure. The functional is PBE.

Computed properties:
Crystal system: orthorhombic

a = 5.7707 Å, b = 21.3660 Å, c = 5.7710 Å
α = 90.00°, β = 90.00°, γ = 90.00°
Last column: nearest neighbours and their distance in Å.
Space group Ccce (No. 68, origin choice 2)
One atom of each set of equivalent atoms:
Sr (0.0000, 0.0615, 0.2500) [8 per cell]  3 O 2.46-2.55
Sr (0.0000, 0.2500, 0.2500) [4 per cell]  8 O 2.65-2.89
Hf (0.0000, 0.1515, 0.7500) [8 per cell]  6 O 2.08-2.11
O (0.0000, 0.0538, 0.7500) [8 per cell]  1 Hf 2.09
O (0.0000, 0.2500, 0.7500) [4 per cell]  2 Hf 2.11
O (0.2012, 0.1528, 0.0488) [16 per cell]  2 Hf 2.08

Entry B
This record from the Materials Project describes a geometry-optimized Sr3Hf2O7 structure. The functional is PBE.

Computed properties:
Crystal system: tetragonal

a = 4.1318 Å, b = 4.1318 Å, c = 21.0328 Å
α = 90.00°, β = 90.00°, γ = 90.00°
Last column: nearest neighbours and their distance in Å.
Space group I4/mmm (No. 139)
One atom of each set of equivalent atoms:
Sr (0.0000, 0.0000, 0.0000) [2 per cell]  12 O 2.91-2.92
Sr (0.0000, 0.0000, 0.1865) [4 per cell]  1 O 2.42
Hf (0.0000, 0.0000, 0.4006) [4 per cell]  6 O 2.07-2.09
O (0.0000, 0.0000, 0.3018) [4 per cell]  1 Hf 2.08
O (0.0000, 0.0000, 0.5000) [2 per cell]  2 Hf 2.09
O (0.0000, 0.5000, 0.0977) [8 per cell]  2 Hf 2.07

Short version: entry B is the least stable of them.